[1]
PBE with a Hubbard U LiFeSiO4, relaxed; symmetry = No. 161; uncorrected energy = -48.01 eV per formula unit; ΔE to the lowest computed polymorph = 48 meV per atom
1.0
6.313 -6.376 0.000
6.313 6.376 0.000
-0.127 0.000 8.972
Li Fe Si O
6 6 6 24
Direct
0.782 0.769 0.226
0.282 0.726 0.269
0.726 0.269 0.282
0.269 0.282 0.726
0.226 0.782 0.769
0.769 0.226 0.782
0.504 0.753 0.991
0.491 0.253 0.004
0.004 0.491 0.253
0.253 0.004 0.491
0.753 0.991 0.504
0.991 0.504 0.753
0.747 0.493 0.009
0.247 0.509 0.993
0.509 0.993 0.247
0.993 0.247 0.509
0.009 0.747 0.493
0.493 0.009 0.747
0.345 0.641 0.079
0.654 0.359 0.095
0.845 0.579 0.141
0.141 0.428 0.115
0.595 0.859 0.154
0.428 0.115 0.141
0.378 0.911 0.346
0.641 0.079 0.345
0.095 0.654 0.359
0.911 0.346 0.378
0.878 0.846 0.411
0.115 0.141 0.428
0.141 0.845 0.579
0.859 0.154 0.595
0.928 0.641 0.615
0.079 0.345 0.641
0.615 0.928 0.641
0.359 0.095 0.654
0.411 0.878 0.846
0.579 0.141 0.845
0.846 0.411 0.878
0.154 0.595 0.859
0.641 0.615 0.928
0.346 0.378 0.911

---

[2]
PBE with a Hubbard U LiFeSiO4, relaxed; symmetry = No. 33; piezoelectric modulus e_max = 0.67 C/m2; uncorrected energy = -47.81 eV per formula unit; ΔE to the lowest computed polymorph = 76 meV per atom
1.0
-2.407 -0.482 4.337
5.058 -5.586 2.187
5.428 6.371 3.721
Li Fe Si O
4 4 4 16
Direct
0.947 0.048 0.613
0.447 0.452 0.113
0.947 0.548 0.887
0.447 0.952 0.387
0.006 0.177 0.022
0.506 0.323 0.522
0.006 0.677 0.478
0.506 0.823 0.978
0.557 0.226 0.861
0.057 0.274 0.361
0.557 0.726 0.639
0.057 0.774 0.139
0.669 0.051 0.944
0.223 0.137 0.466
0.233 0.254 0.867
0.658 0.218 0.691
0.158 0.282 0.191
0.733 0.246 0.367
0.723 0.363 0.966
0.169 0.449 0.444
0.669 0.551 0.556
0.223 0.637 0.034
0.233 0.754 0.633
0.658 0.718 0.809
0.158 0.782 0.309
0.733 0.746 0.133
0.723 0.863 0.534
0.169 0.949 0.056

---

[3]
PBE with a Hubbard U Li2Fe2Si2O7, relaxed; uncorrected energy = -89.21 eV per formula unit; ΔE to the lowest computed polymorph = 46 meV per atom
1.0
5.369 0.001 0.082
-2.581 4.640 8.052
-0.003 -9.313 0.017
Li Fe Si O
4 4 4 14
Direct
0.616 0.223 0.279
0.116 0.223 0.779
0.384 0.777 0.721
0.884 0.777 0.221
0.883 0.773 0.553
0.117 0.227 0.448
0.383 0.773 0.053
0.617 0.227 0.948
0.151 0.298 0.149
0.651 0.298 0.649
0.849 0.702 0.851
0.349 0.702 0.350
0.750 0.500 0.749
0.250 0.500 0.249
0.169 0.763 0.879
0.669 0.763 0.379
0.733 0.769 0.740
0.233 0.769 0.240
0.761 0.232 0.470
0.261 0.232 0.970
0.239 0.768 0.529
0.739 0.768 0.029
0.268 0.232 0.261
0.768 0.232 0.761
0.831 0.237 0.121
0.331 0.237 0.621

---

[4]
PBE with a Hubbard U Li2FeSiO4, relaxed; uncorrected energy = -52.83 eV per formula unit; ΔE to the lowest computed polymorph = 22 meV per atom
1.0
2.603 -2.264 -3.667
1.187 -4.137 3.409
-10.587 -5.779 -3.944
Li Fe Si O
8 4 4 16
Direct
0.504 0.836 0.251
0.504 0.836 0.751
0.003 0.163 0.247
0.003 0.163 0.748
0.005 0.650 0.137
0.005 0.651 0.637
0.503 0.349 0.361
0.503 0.349 0.861
0.011 0.182 0.992
0.512 0.818 0.507
0.011 0.183 0.492
0.512 0.818 0.007
0.999 0.677 0.371
0.999 0.677 0.871
0.499 0.323 0.127
0.498 0.323 0.627
0.094 0.814 0.487
0.094 0.814 0.987
0.594 0.187 0.011
0.594 0.187 0.511
0.112 0.820 0.271
0.112 0.820 0.771
0.611 0.179 0.228
0.612 0.179 0.728
0.670 0.680 0.373
0.670 0.680 0.873
0.170 0.320 0.126
0.170 0.320 0.626
0.603 0.609 0.126
0.603 0.609 0.626
0.102 0.390 0.372
0.102 0.390 0.872

---

[5]
PBE with a Hubbard U LiFeSi2O6, relaxed; symmetry = No. 20; uncorrected energy = -71.85 eV per formula unit; ΔE to the lowest computed polymorph = 25 meV per atom
1.0
-2.132 -7.454 0.677
2.020 -1.294 -7.404
8.877 -2.284 2.820
Li Fe Si O
4 4 8 24
Direct
0.172 0.172 0.500
0.401 0.599 0.250
0.599 0.401 0.750
0.828 0.828 0.000
0.132 0.314 0.764
0.314 0.132 0.236
0.686 0.868 0.736
0.868 0.686 0.264
0.110 0.890 0.750
0.167 0.599 0.512
0.401 0.833 0.988
0.429 0.429 0.000
0.571 0.571 0.500
0.599 0.167 0.488
0.833 0.401 0.012
0.890 0.110 0.250
0.944 0.365 0.873
0.137 0.085 0.691
0.131 0.412 0.582
0.148 0.755 0.624
0.245 0.852 0.876
0.085 0.137 0.309
0.368 0.599 0.454
0.337 0.377 0.855
0.378 0.337 0.145
0.365 0.944 0.127
0.401 0.632 0.046
0.588 0.869 0.918
0.412 0.131 0.418
0.599 0.368 0.546
0.635 0.056 0.627
0.622 0.663 0.645
0.663 0.622 0.355
0.632 0.401 0.954
0.915 0.863 0.809
0.755 0.148 0.376
0.852 0.245 0.124
0.869 0.588 0.082
0.863 0.915 0.191
0.056 0.635 0.373

---

[6]
PBE with a Hubbard U Li2FeSiO4, relaxed; symmetry = No. 1; uncorrected energy = -52.76 eV per formula unit; ΔE to the lowest computed polymorph = 31 meV per atom
1.0
5.015 0.000 0.000
-0.107 5.422 0.000
-0.058 -0.002 6.335
Li Fe Si O
4 2 2 8
Direct
0.505 0.834 0.502
0.009 0.653 0.268
0.502 0.344 0.728
0.003 0.163 0.496
0.995 0.168 0.988
0.519 0.830 0.008
0.001 0.671 0.741
0.495 0.329 0.257
0.110 0.810 0.966
0.110 0.815 0.534
0.670 0.676 0.753
0.604 0.620 0.253
0.100 0.381 0.745
0.166 0.319 0.244
0.607 0.186 0.463
0.597 0.196 0.031